{
  "formula": "AlCu3N3",
  "functional": "GGA-PBE",
  "state": "relaxed",
  "lattice": [[4.0701, 0.0000, 0.0000], [0.0000, 4.0701, 0.0000], [0.0000, 0.0000, 4.0701]],
  "species": ["Al", "Cu", "Cu", "Cu", "N", "N", "N"],
  "frac_coords": [[0.0000, 0.0000, 0.0000], [0.0000, 0.5000, 0.5000], [0.5000, 0.0000, 0.5000], [0.5000, 0.5000, 0.0000], [0.0000, 0.0000, 0.5000], [0.0000, 0.5000, 0.0000], [0.5000, 0.0000, 0.0000]],
  "magnetic_moment_mub_per_cell": 0.00,
  "vol_a3_per_fu": 67,
  "sg": "Pm-3m (221)",
  "final_energy_ev_per_atom": -5.765
}